Li4V3Sn3Te2O16 (GGA+U, relaxed); calculated density = 5.0 g cm⁻³; ΔH_f (0 K) = -2097.7 meV per atom; total DFT energy (no corrections) = -175.0 eV/f.u.
1.0
-3.123 5.405 0.001
0.009 0.008 20.307
3.167 5.430 0.003
O Li Sn V Te
32 8 6 6 4
direct
0.674 0.303 0.655
0.855 0.051 0.843
0.489 0.165 0.022
0.001 0.902 0.997
0.520 0.424 0.963
0.302 0.051 0.843
0.521 0.422 0.520
0.479 0.665 0.490
0.302 0.551 0.843
0.520 0.924 0.963
0.959 0.422 0.521
0.000 0.659 0.000
0.158 0.800 0.169
0.673 0.800 0.168
0.000 0.159 0.000
0.673 0.300 0.168
0.521 0.922 0.520
0.031 0.665 0.490
0.479 0.165 0.490
0.001 0.402 0.997
0.855 0.551 0.843
0.160 0.799 0.679
0.335 0.552 0.330
0.335 0.052 0.330
0.031 0.165 0.490
0.852 0.049 0.297
0.489 0.665 0.022
0.160 0.299 0.679
0.158 0.300 0.169
0.852 0.549 0.297
0.959 0.922 0.521
0.674 0.803 0.655
0.331 0.452 0.337
0.007 0.993 0.986
0.004 0.749 0.992
0.667 0.699 0.666
0.667 0.199 0.666
0.007 0.493 0.986
0.004 0.249 0.992
0.331 0.952 0.337
0.665 0.107 0.166
0.169 0.107 0.166
0.169 0.607 0.166
0.833 0.357 0.334
0.665 0.607 0.166
0.833 0.857 0.334
0.168 0.606 0.665
0.168 0.106 0.665
0.348 0.857 0.835
0.816 0.357 0.835
0.348 0.357 0.835
0.816 0.857 0.835
0.662 0.990 0.675
0.321 0.749 0.357
0.662 0.490 0.675
0.321 0.249 0.357

Mg2CrWO6 (GGA+U, relaxed); calculated density = 5.8 g cm⁻³; SG = P1 (1); ΔH_f (0 K) = -2566.3 meV per atom; total DFT energy (no corrections) = -70.6 eV/f.u.; excess energy over the best structure of this formula in the dataset = 1 meV/atom
1.0
5.186 0.000 0.000
-2.568 4.899 0.000
-0.026 -2.767 8.550
Mg Cr W O
4 2 2 12
direct
0.000 0.000 0.000
0.247 0.503 0.747
0.496 0.004 0.500
0.745 0.502 0.249
0.436 0.886 0.148
0.937 0.878 0.644
0.186 0.384 0.396
0.688 0.383 0.897
0.025 0.667 0.452
0.379 0.168 0.704
0.414 0.168 0.341
0.444 0.167 0.038
0.461 0.664 0.288
0.493 0.665 0.586
0.527 0.659 0.954
0.882 0.161 0.208
0.895 0.164 0.840
0.944 0.167 0.534
0.966 0.670 0.788
0.995 0.666 0.091

Lu2WO6 (GGA+U, relaxed); calculated density = 9.4 g cm⁻³; SG = C2/c (15); ΔH_f (0 K) = -3297.1 meV per atom; total DFT energy (no corrections) = -72.8 eV/f.u.
1.0
8.055 -5.452 0.000
8.055 5.452 0.000
-1.579 0.000 5.061
Lu W O
8 4 24
direct
0.055 0.283 0.881
0.104 0.896 0.750
0.283 0.055 0.381
0.365 0.635 0.250
0.635 0.365 0.750
0.717 0.945 0.619
0.896 0.104 0.250
0.945 0.717 0.119
0.199 0.493 0.568
0.493 0.199 0.068
0.507 0.801 0.932
0.801 0.507 0.432
0.058 0.474 0.256
0.074 0.108 0.078
0.108 0.074 0.578
0.158 0.691 0.421
0.177 0.622 0.892
0.216 0.312 0.650
0.309 0.842 0.079
0.312 0.216 0.150
0.378 0.823 0.608
0.391 0.455 0.519
0.455 0.391 0.019
0.474 0.058 0.756
0.526 0.942 0.244
0.545 0.609 0.981
0.609 0.545 0.481
0.622 0.177 0.392
0.688 0.784 0.850
0.691 0.158 0.921
0.784 0.688 0.350
0.823 0.378 0.108
0.842 0.309 0.579
0.892 0.926 0.422
0.926 0.892 0.922
0.942 0.526 0.744

Li2Fe3SnO8 (GGA+U, relaxed); calculated density = 4.5 g cm⁻³; ΔH_f (0 K) = -1848.1 meV per atom; total DFT energy (no corrections) = -86.4 eV/f.u.; excess energy over the best structure of this formula in the dataset = 13 meV/atom
1.0
4.120 -0.661 -4.319
5.553 -1.789 1.420
0.374 -10.518 -2.161
O Fe Sn Li
16 6 2 4
direct
0.132 0.132 0.603
0.868 0.868 0.397
0.399 0.859 0.884
0.641 0.641 0.617
0.859 0.859 0.883
0.601 0.141 0.116
0.368 0.368 0.897
0.141 0.141 0.117
0.141 0.601 0.116
0.859 0.399 0.884
0.359 0.359 0.383
0.101 0.641 0.616
0.641 0.101 0.616
0.359 0.899 0.384
0.632 0.632 0.103
0.899 0.359 0.384
0.000 0.000 0.500
0.500 0.000 0.500
0.000 0.500 0.500
0.500 0.500 0.000
0.500 0.000 0.000
0.000 0.500 0.000
0.750 0.750 0.750
0.250 0.250 0.250
0.062 0.062 0.814
0.938 0.938 0.186
0.438 0.438 0.686
0.562 0.562 0.314

LiVSiCO7 (GGA+U, relaxed); calculated density = 2.4 g cm⁻³; SG = P2_1 (4); ΔH_f (0 K) = -2384.8 meV per atom; total DFT energy (no corrections) = -80.0 eV/f.u.; excess energy over the best structure of this formula in the dataset = 0 meV/atom
1.0
5.333 0.000 0.000
0.000 6.382 0.000
-0.898 0.000 8.635
Li V Si C O
2 2 2 2 14
direct
0.221 0.000 0.311
0.779 0.500 0.689
0.195 0.279 0.839
0.805 0.779 0.161
0.263 0.782 0.935
0.737 0.282 0.065
0.277 0.283 0.566
0.723 0.783 0.434
0.050 0.285 0.619
0.117 0.793 0.093
0.175 0.581 0.832
0.200 0.995 0.833
0.315 0.249 0.430
0.433 0.286 0.003
0.454 0.312 0.683
0.546 0.812 0.317
0.567 0.786 0.997
0.685 0.749 0.570
0.800 0.495 0.167
0.825 0.081 0.168
0.883 0.293 0.907
0.950 0.785 0.381

CeFeO3 (GGA+U, relaxed); calculated density = 6.7 g cm⁻³; SG = Pm-3m (221); ΔH_f (0 K) = -2573.6 meV per atom; total DFT energy (no corrections) = -37.8 eV/f.u.
1.0
3.934 0.000 0.000
0.000 3.934 0.000
0.000 0.000 3.934
Ce Fe O
1 1 3
direct
0.000 0.000 0.000
0.500 0.500 0.500
0.000 0.500 0.500
0.500 0.000 0.500
0.500 0.500 0.000